1.
Here is a relaxed AcPrMg2 crystal from Materials Project. Energies are from r²SCAN.

Unit cell a=8.0503 b=8.0503 c=8.0503 alpha=90.00 beta=90.00 gamma=90.00
Atoms (fractional coordinates):
Ac (0.0000, 0.0000, 0.0000)
Ac (0.0000, 0.5000, 0.5000)
Ac (0.5000, 0.0000, 0.5000)
Ac (0.5000, 0.5000, 0.0000)
Pr (0.0000, 0.0000, 0.5000)
Pr (0.0000, 0.5000, 0.0000)
Pr (0.5000, 0.0000, 0.0000)
Pr (0.5000, 0.5000, 0.5000)
Mg (0.2500, 0.2500, 0.2500)
Mg (0.2500, 0.2500, 0.7500)
Mg (0.2500, 0.7500, 0.2500)
Mg (0.2500, 0.7500, 0.7500)
Mg (0.7500, 0.2500, 0.2500)
Mg (0.7500, 0.2500, 0.7500)
Mg (0.7500, 0.7500, 0.2500)
Mg (0.7500, 0.7500, 0.7500)

calculated total energy	-26.680	eV per atom
E_form	-85.4	meV per atom

---

2.
Here is a relaxed Ac2MgSn crystal from Materials Project. Energies are from r²SCAN.

Unit cell a=8.2053 b=8.2053 c=8.2053 alpha=90.00 beta=90.00 gamma=90.00
Atoms (fractional coordinates):
Ac (0.2500, 0.2500, 0.2500)
Ac (0.2500, 0.2500, 0.7500)
Ac (0.2500, 0.7500, 0.2500)
Ac (0.2500, 0.7500, 0.7500)
Ac (0.7500, 0.2500, 0.2500)
Ac (0.7500, 0.2500, 0.7500)
Ac (0.7500, 0.7500, 0.2500)
Ac (0.7500, 0.7500, 0.7500)
Mg (0.0000, 0.0000, 0.0000)
Mg (0.0000, 0.5000, 0.5000)
Mg (0.5000, 0.0000, 0.5000)
Mg (0.5000, 0.5000, 0.0000)
Sn (0.0000, 0.0000, 0.5000)
Sn (0.0000, 0.5000, 0.0000)
Sn (0.5000, 0.0000, 0.0000)
Sn (0.5000, 0.5000, 0.5000)

calculated total energy	-41.947	eV per atom
E_form	-399.3	meV per atom

---

3.
Here is a relaxed AcMgTl2 crystal from Materials Project. Energies are from r²SCAN.

Unit cell a=7.8034 b=7.8034 c=7.8034 alpha=90.00 beta=90.00 gamma=90.00
Atoms (fractional coordinates):
Ac (0.0000, 0.0000, 0.0000)
Ac (0.0000, 0.5000, 0.5000)
Ac (0.5000, 0.0000, 0.5000)
Ac (0.5000, 0.5000, 0.0000)
Mg (0.0000, 0.0000, 0.5000)
Mg (0.0000, 0.5000, 0.0000)
Mg (0.5000, 0.0000, 0.0000)
Mg (0.5000, 0.5000, 0.5000)
Tl (0.2500, 0.2500, 0.2500)
Tl (0.2500, 0.2500, 0.7500)
Tl (0.2500, 0.7500, 0.2500)
Tl (0.2500, 0.7500, 0.7500)
Tl (0.7500, 0.2500, 0.2500)
Tl (0.7500, 0.2500, 0.7500)
Tl (0.7500, 0.7500, 0.2500)
Tl (0.7500, 0.7500, 0.7500)

calculated total energy	-45.119	eV per atom
E_form	-327.3	meV per atom

---

4.
Here is a relaxed Ac2YbMg crystal from Materials Project. Energies are from r²SCAN.

Unit cell a=8.3030 b=8.3030 c=8.3030 alpha=90.00 beta=90.00 gamma=90.00
Atoms (fractional coordinates):
Ac (0.2500, 0.2500, 0.2500)
Ac (0.2500, 0.2500, 0.7500)
Ac (0.2500, 0.7500, 0.2500)
Ac (0.2500, 0.7500, 0.7500)
Ac (0.7500, 0.2500, 0.2500)
Ac (0.7500, 0.2500, 0.7500)
Ac (0.7500, 0.7500, 0.2500)
Ac (0.7500, 0.7500, 0.7500)
Yb (0.0000, 0.0000, 0.0000)
Yb (0.0000, 0.5000, 0.5000)
Yb (0.5000, 0.0000, 0.5000)
Yb (0.5000, 0.5000, 0.0000)
Mg (0.0000, 0.0000, 0.5000)
Mg (0.0000, 0.5000, 0.0000)
Mg (0.5000, 0.0000, 0.0000)
Mg (0.5000, 0.5000, 0.5000)

calculated total energy	-44.469	eV per atom
E_form	24.9	meV per atom